Record 1
Sr3LaCu2HgBiO10 | the Materials Project database | GGA-PBE | relaxed; ΔH_f (0 K) = -2.203 eV per atom; energy = -104.7 eV/cell; theoretical density = 7.02 Mg/m³; corrected total energy (MP2020 scheme) = -6.196 eV/atom; symmetry = P1 (1); total magnetization = 0.000 Bohr magnetons per cell
1.0
3.8285 0.0000 0.0000
0.0267 7.7402 0.0000
0.0345 3.8573 8.7705
Sr La Cu Hg Bi O
3 1 2 1 1 10
Direct
0.0000 0.0000 0.0000
0.0007 0.1948 0.5994
0.9992 0.7017 0.5954
0.9976 0.4967 0.0001
0.4998 0.3485 0.7953
0.4995 0.8432 0.8097
0.5021 0.0956 0.3054
0.5397 0.6003 0.3016
0.9998 0.3518 0.8033
0.4926 0.2312 0.0727
0.4943 0.7146 0.0508
0.4938 0.9671 0.5373
0.4964 0.4755 0.5474
0.5010 0.0994 0.7958
0.5006 0.5873 0.8179
0.9636 0.4143 0.2906
0.9731 0.7831 0.2966
0.9994 0.8349 0.8119

***

Record 2
Sr3LaCu2HgBiO10 | the Materials Project database | GGA-PBE | relaxed; ΔH_f (0 K) = -2.137 eV per atom; energy = -103.5 eV/cell; theoretical density = 7.20 Mg/m³; corrected total energy (MP2020 scheme) = -6.130 eV/atom; symmetry = Imm2 (44); total magnetization = 0.005 Bohr magnetons per cell
1.0
-2.6482 2.6512 9.0248
2.6482 -2.6512 9.0248
2.6482 2.6512 -9.0248
Sr La Cu Hg Bi O
3 1 2 1 1 10
Direct
0.0000 0.0000 0.0000
0.2065 0.2065 0.0000
0.4981 0.4981 0.0000
0.7021 0.7021 0.0000
0.1013 0.6013 0.5000
0.5993 0.0993 0.5000
0.8536 0.3536 0.5000
0.3537 0.8537 0.5000
0.2309 0.7309 0.5000
0.3530 0.3530 0.0000
0.3609 0.3609 0.5083
0.3609 0.8526 0.0000
0.4756 0.9756 0.5000
0.7349 0.2349 0.5000
0.8479 0.8479 0.0000
0.8526 0.3609 0.0000
0.8526 0.8526 0.4917
0.9716 0.4716 0.5000

***

Record 3
Sr7Cu2HgBiSbO15 | the Materials Project database | GGA-PBE | relaxed; ΔH_f (0 K) = -2.334 eV per atom; energy = -310.5 eV/cell; theoretical density = 6.10 Mg/m³; corrected total energy (MP2020 scheme) = -6.133 eV/atom; symmetry = Pmma (51); total magnetization = 0.005 Bohr magnetons per cell
1.0
7.7392 0.0000 0.0000
0.0000 9.0222 0.0000
0.0000 0.0000 11.7885
Sr Cu Hg Bi Sb O
14 4 2 2 2 30
Direct
0.0000 0.2101 0.0000
0.0000 0.7899 0.0000
0.0071 0.2073 0.3431
0.0071 0.7927 0.3431
0.2500 0.5000 0.8408
0.4929 0.2073 0.3431
0.4929 0.7927 0.3431
0.5000 0.2101 0.0000
0.5000 0.7899 0.0000
0.5071 0.2073 0.6569
0.5071 0.7927 0.6569
0.7500 0.5000 0.1592
0.9929 0.2073 0.6569
0.9929 0.7927 0.6569
0.2500 0.0000 0.1736
0.2500 0.0000 0.4996
0.7500 0.0000 0.5004
0.7500 0.0000 0.8264
0.2500 0.5000 0.5020
0.7500 0.5000 0.4980
0.2500 0.5000 0.1798
0.7500 0.5000 0.8202
0.2500 0.0000 0.8325
0.7500 0.0000 0.1675
0.0000 0.0000 0.5000
0.0000 0.5000 0.0000
0.0055 0.0000 0.1692
0.0285 0.5000 0.2893
0.2500 0.0000 0.0010
0.2500 0.0000 0.3390
0.2500 0.0000 0.6653
0.2500 0.2262 0.8363
0.2500 0.2628 0.1659
0.2500 0.2730 0.5040
0.2500 0.7270 0.5040
0.2500 0.7372 0.1659
0.2500 0.7738 0.8363
0.4715 0.5000 0.2893
0.4945 0.0000 0.1692
0.5000 0.0000 0.5000
0.5000 0.5000 0.0000
0.5055 0.0000 0.8308
0.5285 0.5000 0.7107
0.7500 0.0000 0.3347
0.7500 0.0000 0.6610
0.7500 0.0000 0.9990
0.7500 0.2262 0.1637
0.7500 0.2628 0.8341
0.7500 0.2730 0.4960
0.7500 0.7270 0.4960
0.7500 0.7372 0.8341
0.7500 0.7738 0.1637
0.9715 0.5000 0.7107
0.9945 0.0000 0.8308

***

Record 4
Sr2HoCu2Bi2O8 | the Materials Project database | GGA-PBE | relaxed; ΔH_f (0 K) = -2.161 eV per atom; energy = -90.4 eV/cell; theoretical density = 7.70 Mg/m³; corrected total energy (MP2020 scheme) = -6.396 eV/atom; symmetry = I4/mmm (139); total magnetization = 0.000 Bohr magnetons per cell
1.0
-1.8890 1.8890 15.3094
1.8890 -1.8890 15.3094
1.8890 1.8890 -15.3094
Sr Ho Cu Bi O
2 1 2 2 8
Direct
0.1148 0.1148 0.0000
0.8852 0.8852 0.0000
0.0000 0.0000 0.0000
0.4489 0.4489 0.0000
0.5511 0.5511 0.0000
0.2955 0.2955 0.0000
0.7045 0.7045 0.0000
0.0480 0.5480 0.5000
0.1995 0.1995 0.0000
0.3650 0.3650 0.0000
0.4520 0.9520 0.5000
0.5480 0.0480 0.5000
0.6350 0.6350 0.0000
0.8005 0.8005 0.0000
0.9520 0.4520 0.5000

***

Record 5
K2CuBiI6 | the Materials Project database | GGA-PBE | relaxed; ΔH_f (0 K) = -0.950 eV per atom; energy = -26.6 eV/cell; theoretical density = 4.43 Mg/m³; corrected total energy (MP2020 scheme) = -2.885 eV/atom; symmetry = Fm-3m (225); total magnetization = 0.002 Bohr magnetons per cell
1.0
0.0000 5.9303 5.9303
5.9303 0.0000 5.9303
5.9303 5.9303 0.0000
K Cu Bi I
2 1 1 6
Direct
0.2500 0.2500 0.2500
0.7500 0.7500 0.7500
0.0000 0.0000 0.0000
0.5000 0.5000 0.5000
0.2393 0.2393 0.7607
0.2393 0.7607 0.2393
0.2393 0.7607 0.7607
0.7607 0.2393 0.2393
0.7607 0.2393 0.7607
0.7607 0.7607 0.2393

***

Record 6
Rb2CuBiI6 | the Materials Project database | GGA-PBE | relaxed; ΔH_f (0 K) = -0.989 eV per atom; energy = -26.7 eV/cell; theoretical density = 4.76 Mg/m³; corrected total energy (MP2020 scheme) = -2.899 eV/atom; symmetry = Fm-3m (225); total magnetization = 0.002 Bohr magnetons per cell
1.0
0.0000 5.9456 5.9456
5.9456 0.0000 5.9456
5.9456 5.9456 0.0000
Rb Cu Bi I
2 1 1 6
Direct
0.2500 0.2500 0.2500
0.7500 0.7500 0.7500
0.0000 0.0000 0.0000
0.5000 0.5000 0.5000
0.2394 0.2394 0.7606
0.2394 0.7606 0.2394
0.2394 0.7606 0.7606
0.7606 0.2394 0.2394
0.7606 0.2394 0.7606
0.7606 0.7606 0.2394

***

Record 7
Cu15Bi4Se16I4 | the Materials Project database | GGA-PBE | relaxed; ΔH_f (0 K) = -0.225 eV per atom; energy = -146.3 eV/cell; theoretical density = 6.48 Mg/m³; corrected total energy (MP2020 scheme) = -3.791 eV/atom; symmetry = Pm (6); total magnetization = 0.000 Bohr magnetons per cell
1.0
9.6831 0.0000 0.0000
0.0000 4.0881 0.0000
-0.2431 0.0000 23.0637
Cu Bi Se I
15 4 16 4
Direct
0.0000 0.0000 0.0000
0.0106 0.0000 0.2594
0.1130 0.0000 0.4416
0.1301 0.0000 0.8315
0.3283 0.5000 0.3308
0.3402 0.5000 0.9441
0.4411 0.5000 0.7664
0.4559 0.5000 0.4969
0.5038 0.0000 0.9767
0.5185 0.0000 0.7064
0.6205 0.0000 0.5295
0.6328 0.0000 0.1447
0.8307 0.5000 0.6413
0.8480 0.5000 0.0320
0.9570 0.5000 0.4730
0.1978 0.0000 0.6126
0.2550 0.5000 0.1159
0.7001 0.0000 0.3567
0.7624 0.5000 0.8604
0.0163 0.5000 0.5767
0.0396 0.0000 0.1570
0.1139 0.5000 0.3874
0.1391 0.5000 0.0063
0.3143 0.0000 0.5054
0.3387 0.0000 0.8921
0.4371 0.5000 0.6576
0.4440 0.0000 0.0785
0.5186 0.5000 0.3947
0.5224 0.0000 0.8150
0.6216 0.5000 0.5812
0.6466 0.5000 0.9677
0.8178 0.0000 0.4662
0.8464 0.0000 0.0871
0.9359 0.5000 0.3084
0.9439 0.0000 0.8959
0.1638 0.5000 0.7609
0.2923 0.0000 0.2610
0.6598 0.5000 0.2155
0.7958 0.0000 0.7114

***

Record 8
KCuBi2S4 | the Materials Project database | GGA-PBE | relaxed; ΔH_f (0 K) = -0.791 eV per atom; energy = -67.7 eV/cell; theoretical density = 5.29 Mg/m³; corrected total energy (MP2020 scheme) = -4.483 eV/atom; symmetry = Cmc2_1 (36); total magnetization = 0.003 Bohr magnetons per cell
1.0
2.0225 -6.9734 0.0000
2.0225 6.9734 0.0000
0.0000 0.0000 14.4445
K Cu Bi S
2 2 4 8
Direct
0.1118 0.8882 0.5000
0.8882 0.1118 0.0000
0.1465 0.8535 0.9690
0.8535 0.1465 0.4690
0.3491 0.6509 0.2893
0.3823 0.6177 0.6726
0.6177 0.3823 0.1726
0.6509 0.3491 0.7893
0.0171 0.9829 0.7194
0.2518 0.7482 0.1269
0.2679 0.7321 0.8552
0.4288 0.5712 0.4917
0.5712 0.4288 0.9917
0.7321 0.2679 0.3552
0.7482 0.2518 0.6269
0.9829 0.0171 0.2194

***

Record 9
Sr7LaCu4Bi8O24 | the Materials Project database | GGA-PBE | relaxed; ΔH_f (0 K) = -1.847 eV per atom; energy = -253.2 eV/cell; theoretical density = 6.85 Mg/m³; corrected total energy (MP2020 scheme) = -6.007 eV/atom; symmetry = P1 (1); total magnetization = 1.001 Bohr magnetons per cell
1.0
9.4547 0.0000 0.0000
4.3525 9.0811 0.0000
4.2862 3.0174 8.6502
Sr La Cu Bi O
7 1 4 8 24
Direct
0.0000 0.0000 0.0000
0.0515 0.1560 0.5112
0.3368 0.7849 0.7607
0.4913 0.5091 0.5323
0.5844 0.6701 0.0160
0.7652 0.2741 0.2992
0.8213 0.4956 0.6504
0.4609 0.9507 0.2907
0.0970 0.8845 0.3014
0.3575 0.0350 0.9833
0.4177 0.2341 0.3583
0.9852 0.6963 0.9548
0.0256 0.7734 0.6214
0.1709 0.3761 0.0440
0.2263 0.5751 0.2615
0.2567 0.2760 0.6991
0.6119 0.3116 0.0090
0.6428 0.9526 0.5582
0.7451 0.0226 0.8322
0.7962 0.6623 0.2820
0.0084 0.7944 0.2426
0.0250 0.9318 0.7695
0.1710 0.4978 0.5258
0.1828 0.6104 0.0071
0.1943 0.9363 0.3875
0.2025 0.3521 0.3005
0.2700 0.4318 0.7888
0.3405 0.9011 0.9221
0.3414 0.0548 0.5118
0.3859 0.1611 0.0551
0.5047 0.2441 0.5665
0.5102 0.4118 0.2131
0.5650 0.6833 0.2593
0.5659 0.5466 0.8537
0.5981 0.7303 0.4927
0.6502 0.0823 0.3181
0.7325 0.9351 0.0770
0.8034 0.4147 0.4412
0.8181 0.2224 0.8087
0.8254 0.7531 0.8593
0.8313 0.3709 0.9966
0.8498 0.0255 0.5389
0.8510 0.7408 0.5669
0.9772 0.2395 0.0446

***

Record 10
LiCu2BiO4 | the Materials Project database | GGA-PBE | relaxed; ΔH_f (0 K) = -1.388 eV per atom; energy = -84.3 eV/cell; theoretical density = 6.58 Mg/m³; corrected total energy (MP2020 scheme) = -5.611 eV/atom; symmetry = P4/nmm (129); total magnetization = 0.000 Bohr magnetons per cell
1.0
6.9230 0.0000 0.0000
0.0000 6.9230 0.0000
0.0000 0.0000 4.2851
Li Cu Bi O
2 4 2 8
Direct
0.2500 0.7500 0.0000
0.7500 0.2500 0.0000
0.0000 0.0000 0.5000
0.0000 0.5000 0.5000
0.5000 0.0000 0.5000
0.5000 0.5000 0.5000
0.2500 0.2500 0.0181
0.7500 0.7500 0.9819
0.0210 0.7500 0.7105
0.2500 0.5210 0.2895
0.2500 0.9790 0.2895
0.4790 0.7500 0.7105
0.5210 0.2500 0.2895
0.7500 0.0210 0.7105
0.7500 0.4790 0.7105
0.9790 0.2500 0.2895

***

Record 11
Li4Cu3BiP4O16 | the Materials Project database | GGA-PBE | relaxed; ΔH_f (0 K) = -2.240 eV per atom; energy = -176.4 eV/cell; theoretical density = 4.24 Mg/m³; corrected total energy (MP2020 scheme) = -6.692 eV/atom; symmetry = Pm (6); total magnetization = 2.000 Bohr magnetons per cell
1.0
4.8215 0.0000 0.0000
0.0000 6.2516 0.0000
-0.4968 0.0000 10.4990
Li Cu Bi P O
4 3 1 4 16
Direct
0.0000 0.2430 0.0000
0.0000 0.7570 0.0000
0.4873 0.2428 0.4599
0.4873 0.7572 0.4599
0.4400 0.0000 0.7756
0.5474 0.5000 0.1993
0.9915 0.0000 0.2579
0.9736 0.5000 0.6945
0.0824 0.5000 0.3725
0.4234 0.5000 0.9063
0.5741 0.0000 0.0726
0.8779 0.0000 0.5702
0.1943 0.0000 0.5936
0.2010 0.2952 0.3112
0.2010 0.7048 0.3112
0.2208 0.5000 0.5137
0.2569 0.0000 0.0691
0.2917 0.3029 0.8314
0.2917 0.6971 0.8314
0.3035 0.5000 0.0404
0.6948 0.0000 0.9366
0.7126 0.1968 0.1454
0.7126 0.8032 0.1454
0.7349 0.1982 0.6322
0.7349 0.8018 0.6322
0.7425 0.5000 0.9070
0.7603 0.5000 0.3752
0.7688 0.0000 0.4297

***

Record 12
Li2CuBiP2O8 | the Materials Project database | GGA-PBE | relaxed; ΔH_f (0 K) = -2.275 eV per atom; energy = -177.1 eV/cell; theoretical density = 4.63 Mg/m³; corrected total energy (MP2020 scheme) = -6.719 eV/atom; symmetry = P2_1/m (11); total magnetization = 0.001 Bohr magnetons per cell
1.0
4.8366 0.0000 0.0000
0.0000 6.4231 0.0000
-0.0535 0.0000 11.0021
Li Cu Bi P O
4 2 2 4 16
Direct
0.0000 0.0000 0.0000
0.0000 0.5000 0.0000
0.5000 0.0000 0.5000
0.5000 0.5000 0.5000
0.0302 0.2500 0.2954
0.9698 0.7500 0.7046
0.4787 0.2500 0.7812
0.5213 0.7500 0.2188
0.0882 0.7500 0.4162
0.3970 0.7500 0.9137
0.6030 0.2500 0.0863
0.9118 0.2500 0.5838
0.2056 0.5564 0.3424
0.2056 0.9436 0.3424
0.2252 0.7500 0.5428
0.2314 0.2500 0.5811
0.2532 0.7500 0.0441
0.2683 0.5557 0.8487
0.2683 0.9443 0.8487
0.2900 0.2500 0.0786
0.7100 0.7500 0.9214
0.7317 0.0557 0.1513
0.7317 0.4443 0.1513
0.7468 0.2500 0.9559
0.7686 0.7500 0.4189
0.7748 0.2500 0.4572
0.7944 0.0564 0.6576
0.7944 0.4436 0.6576

***

Record 13
Sr2LuCu2Bi2O8 | the Materials Project database | GGA-PBE | relaxed; ΔH_f (0 K) = -2.158 eV per atom; energy = -90.3 eV/cell; theoretical density = 7.78 Mg/m³; corrected total energy (MP2020 scheme) = -6.388 eV/atom; symmetry = I4/mmm (139); total magnetization = 0.000 Bohr magnetons per cell
1.0
-1.8903 1.8903 15.2718
1.8903 -1.8903 15.2718
1.8903 1.8903 -15.2718
Sr Lu Cu Bi O
2 1 2 2 8
Direct
0.1147 0.1147 0.0000
0.8853 0.8853 0.0000
0.0000 0.0000 0.0000
0.4478 0.4478 0.0000
0.5522 0.5522 0.0000
0.2952 0.2952 0.0000
0.7048 0.7048 0.0000
0.0468 0.5468 0.5000
0.2029 0.2029 0.0000
0.3655 0.3655 0.0000
0.4532 0.9532 0.5000
0.5468 0.0468 0.5000
0.6345 0.6345 0.0000
0.7971 0.7971 0.0000
0.9532 0.4532 0.5000

***

Record 14
Mg14CuBi | the Materials Project database | GGA-PBE | relaxed; ΔH_f (0 K) = 0.006 eV per atom; energy = -30.3 eV/cell; theoretical density = 2.83 Mg/m³; symmetry = Amm2 (38); total magnetization = 0.000 Bohr magnetons per cell
1.0
10.4015 0.0000 0.0000
0.0000 3.1559 5.4747
0.0000 -3.1559 5.4747
Mg Cu Bi
14 1 1
Direct
0.0000 0.0000 0.0000
0.0000 0.0019 0.5003
0.0000 0.5003 0.0019
0.0000 0.4997 0.4997
0.2431 0.6691 0.6691
0.2517 0.1602 0.6738
0.2517 0.6738 0.1602
0.2544 0.1644 0.1644
0.5000 0.5003 0.9991
0.5000 0.9991 0.5003
0.7456 0.1644 0.1644
0.7483 0.1602 0.6738
0.7483 0.6738 0.1602
0.7569 0.6691 0.6691
0.5000 0.0003 0.0003
0.5000 0.5018 0.5018